Density functional theory data (meta-GGA r2SCAN) for a relaxed structure of Sr2P7I.

The energy of formation from the pure elements is -7.8 eV per formula unit. The magnetization is 0.00 μB/cell. Its volume is 25.27 Å³/atom.

abc: 10.037 10.037 10.037
angles: 90.00 90.00 90.00
Sites, in units of the cell vectors:
Sr1 0.098 0.098 0.098
Sr2 0.154 0.346 0.654
Sr3 0.346 0.654 0.154
Sr4 0.402 0.902 0.598
Sr5 0.598 0.402 0.902
Sr6 0.654 0.154 0.346
Sr7 0.846 0.846 0.846
Sr8 0.902 0.598 0.402
P1 0.030 0.642 0.041
P2 0.037 0.643 0.692
P3 0.041 0.030 0.642
P4 0.142 0.459 0.970
P5 0.143 0.808 0.963
P6 0.192 0.463 0.357
P7 0.219 0.719 0.781
P8 0.281 0.281 0.281
P9 0.308 0.537 0.857
P10 0.357 0.192 0.463
P11 0.358 0.541 0.470
P12 0.459 0.970 0.142
P13 0.463 0.357 0.192
P14 0.470 0.358 0.541
P15 0.530 0.858 0.959
P16 0.537 0.857 0.308
P17 0.541 0.470 0.358
P18 0.642 0.041 0.030
P19 0.643 0.692 0.037
P20 0.692 0.037 0.643
P21 0.719 0.781 0.219
P22 0.781 0.219 0.719
P23 0.808 0.963 0.143
P24 0.857 0.308 0.537
P25 0.858 0.959 0.530
P26 0.959 0.530 0.858
P27 0.963 0.143 0.808
P28 0.970 0.142 0.459
I1 0.152 0.848 0.348
I2 0.348 0.152 0.848
I3 0.652 0.652 0.652
I4 0.848 0.348 0.152